# 1
The following is a DFT calculation (PBE) of a relaxed LiTaGeO5 crystal. Values from VASP.

## Properties
* energy relative to the lowest polymorph listed for this composition: 0.003 eV/atom

```
&SYSTEM
  ibrav = 0, nat = 16, ntyp = 4
/
ATOMIC_SPECIES
Li 6.94 Li.upf
Ta 180.95 Ta.upf
Ge 72.64 Ge.upf
O 16.00 O.upf
CELL_PARAMETERS angstrom
3.8359 -4.1106 0.0000
3.8359 4.1106 0.0000
-3.7223 0.0000 6.5897
ATOMIC_POSITIONS angstrom
Li 1.0442 2.5355 4.9422
Li 2.9053 -2.5355 1.6474
Ta 3.8359 0.0000 0.0000
Ta 1.9748 0.0000 3.2948
Ge 2.9053 2.9557 1.6474
Ge 1.0442 -2.9557 4.9422
O 0.2201 0.0131 2.3079
O -1.6411 -0.0131 5.6027
O 2.1821 1.9440 2.9034
O 3.6286 1.9440 0.3914
O 1.0442 0.5467 4.9422
O 2.9053 -0.5467 1.6474
O 0.3209 -1.9440 6.1982
O 1.7675 -1.9440 3.6862
O 5.5906 0.0131 0.9870
O 3.7294 -0.0131 4.2818
```

# 2
The following is a DFT calculation (PBE) of a relaxed NbCr3 crystal. Values from VASP.

```
&SYSTEM
  ibrav = 0, nat = 4, ntyp = 2
/
ATOMIC_SPECIES
Nb 92.91 Nb.upf
Cr 52.00 Cr.upf
CELL_PARAMETERS angstrom
3.8070 0.0000 0.0000
0.0000 3.8070 0.0000
0.0000 0.0000 3.8070
ATOMIC_POSITIONS angstrom
Nb 0.0000 0.0000 0.0000
Cr 0.0000 1.9035 1.9035
Cr 1.9035 0.0000 1.9035
Cr 1.9035 1.9035 0.0000
```

| no. | raw total energy (eV/atom) |
| --- | --- |
| 1 | -7.719 |
| 2 | -9.244 |